## CsReOF6 (PBE-GGA)

Data for a relaxed CsReOF6 crystal.

* ΔH_f (0 K): -2.66 eV per atom
* corrected total energy (MP2020 scheme): -214.98 eV/cell
* final energy: -5.5875 eV/atom

The structure in CIF format:
```
data_CsReOF6
_chemical_formula_sum 'Cs4 Re4 O4 F24'
_space_group_name_H-M_alt 'P 1 21/c 1'
_space_group_IT_number 14
_space_group_name_Hall '-P 2ybc'
_cell_length_a 8.218
_cell_length_b 7.275
_cell_length_c 10.990
_cell_angle_alpha 90.00
_cell_angle_beta 92.65
_cell_angle_gamma 90.00
loop_
_atom_site_label
_atom_site_fract_x
_atom_site_fract_y
_atom_site_fract_z
Cs1 0.220 0.241 0.000
Re1 0.283 0.720 0.263
O1 0.421 0.740 0.152
F1 0.104 0.662 0.149
F2 0.127 0.687 0.391
F3 0.172 0.553 0.721
F4 0.270 0.047 0.746
F5 0.377 0.587 0.865
F6 0.440 0.610 0.378
```

---

## CsSO2F (PBE-GGA)

Data for a relaxed CsSO2F crystal.

* ΔH_f (0 K): -2.19 eV per atom
* corrected total energy (MP2020 scheme): -111.09 eV/cell
* final energy: -5.1873 eV/atom

The structure in CIF format:
```
data_CsSO2F
_chemical_formula_sum 'Cs4 S4 O8 F4'
_space_group_name_H-M_alt 'P n m a'
_space_group_IT_number 62
_space_group_name_Hall '-P 2ac 2n'
_cell_length_a 8.236
_cell_length_b 6.781
_cell_length_c 8.151
_cell_angle_alpha 90.00
_cell_angle_beta 90.00
_cell_angle_gamma 90.00
loop_
_atom_site_label
_atom_site_fract_x
_atom_site_fract_y
_atom_site_fract_z
Cs1 0.145 0.250 0.116
S1 0.066 0.250 0.637
O1 0.096 0.069 0.734
F1 0.245 0.250 0.509
```

---

## CsSbSO4F2 (PBE-GGA)

Data for a relaxed CsSbSO4F2 crystal.

* ΔH_f (0 K): -2.29 eV per atom
* corrected total energy (MP2020 scheme): -213.55 eV/cell
* final energy: -5.5239 eV/atom

The structure in CIF format:
```
data_CsSbSO4F2
_chemical_formula_sum 'Cs4 Sb4 S4 O16 F8'
_space_group_name_H-M_alt 'P n a 21'
_space_group_IT_number 33
_space_group_name_Hall 'P 2c -2n'
_cell_length_a 10.137
_cell_length_b 11.694
_cell_length_c 5.467
_cell_angle_alpha 90.00
_cell_angle_beta 90.00
_cell_angle_gamma 90.00
loop_
_atom_site_label
_atom_site_fract_x
_atom_site_fract_y
_atom_site_fract_z
Cs1 0.014 0.161 0.000
Sb1 0.173 0.581 0.990
S1 0.203 0.366 0.550
O1 0.087 0.338 0.398
O2 0.151 0.422 0.785
O3 0.201 0.939 0.926
O4 0.231 0.757 0.141
F1 0.134 0.062 0.465
F2 0.178 0.655 0.669
```